# 1
First-principles (r²SCAN) data for a relaxed structure of UFe2B6, as listed in the Materials Project.

a = 5.340 Å, b = 5.340 Å, c = 5.340 Å
α = 145.97°, β = 110.01°, γ = 80.16°
Element x y z (fractional)
B1 0.434 0.697 0.738
Fe1 0.846 0.846 0.000
B2 0.041 0.303 0.738
B3 0.566 0.303 0.262
B4 0.144 0.500 0.644
U1 0.500 0.000 0.500
B5 0.959 0.697 0.262
B6 0.856 0.500 0.356
Fe2 0.154 0.154 0.000

Computed properties:
electronic total energy: -17.43 eV per atom
SG: Immm (71)
formation enthalpy at 0 K: -0.45 eV/atom



# 2
First-principles (r²SCAN) data for a relaxed structure of CoF4, as listed in the Materials Project.

a = 6.185 Å, b = 6.185 Å, c = 6.185 Å
α = 128.28°, β = 128.28°, γ = 76.19°
Element x y z (fractional)
F1 0.538 0.038 0.821
Co1 0.000 0.500 0.500
F2 0.962 0.783 0.500
F3 0.038 0.217 0.500
F4 0.217 0.717 0.179
Co2 0.500 0.000 0.500
F5 0.717 0.538 0.500
F6 0.783 0.283 0.821
F7 0.462 0.962 0.179
F8 0.283 0.462 0.500

Computed properties:
electronic total energy: -6.74 eV per atom
SG: I4/mcm (140)
formation enthalpy at 0 K: -1.60 eV/atom



# 3
First-principles (r²SCAN) data for a relaxed structure of SrYb, as listed in the Materials Project.

a = 3.771 Å, b = 3.771 Å, c = 6.374 Å
α = 90.00°, β = 90.00°, γ = 120.00°
Element x y z (fractional)
Sr1 0.333 0.667 0.500
Yb1 0.000 0.000 0.000

Computed properties:
electronic total energy: -25.52 eV per atom
SG: P-6m2 (187)
formation enthalpy at 0 K: 0.32 eV/atom



# 4
First-principles (r²SCAN) data for a relaxed structure of AlBW, as listed in the Materials Project.

a = 7.141 Å, b = 7.141 Å, c = 3.104 Å
α = 90.00°, β = 90.00°, γ = 154.06°
Element x y z (fractional)
Al1 0.300 0.700 0.750
B1 0.465 0.535 0.750
B2 0.535 0.465 0.250
W1 0.910 0.090 0.250
W2 0.090 0.910 0.750
Al2 0.700 0.300 0.250

Computed properties:
electronic total energy: -22.14 eV per atom
SG: Cmcm (63)
formation enthalpy at 0 K: -0.32 eV/atom



| no. | magnetic moment (μB per formula unit) |
| --- | --- |
| 1 | 2.1 |
| 2 | 3.0 |
| 3 | 0.9 |
| 4 | 0.0 |